Model P:
# Ba2SmMgCu3O7

A geometry-optimized Ba2SmMgCu3O7 structure (PBE, the Materials Project).

## Properties
total magnetization	0.22	μB/cell

Lattice parameters (Å, degrees): 3.731 3.993 14.025 90.00 90.00 90.00
Element x y z (fractional)
1 Ba 0.500 0.500 0.209
2 O 0.000 0.000 0.846
3 O 0.500 0.000 0.610
4 Cu 0.000 0.000 0.599
5 O 0.000 0.500 0.598
6 O 0.000 0.500 0.375
7 Mg 0.500 0.000 0.929
8 O 0.000 0.000 0.200
9 O 0.000 0.500 0.027
10 O 0.500 0.000 0.393
11 Cu 0.000 0.000 0.062
12 Sm 0.500 0.500 0.481
13 Cu 0.000 0.000 0.359
14 Ba 0.500 0.500 0.741

=====

Model Q:
# Ba2SmMgCu3O7

A geometry-optimized Ba2SmMgCu3O7 structure (PBE, the Materials Project).

## Properties
total magnetization	0.00	μB/cell

Lattice parameters (Å, degrees): 3.765 3.974 14.530 90.00 90.00 90.00
Element x y z (fractional)
1 O 0.000 0.500 0.629
2 O 0.000 0.500 0.973
3 Cu 0.000 0.000 0.936
4 Cu 0.000 0.000 0.640
5 Ba 0.500 0.500 0.086
6 Sm 0.500 0.500 0.521
7 Cu 0.000 0.000 0.415
8 Ba 0.500 0.500 0.779
9 O 0.000 0.000 0.803
10 O 0.500 0.000 0.409
11 O 0.000 0.500 0.421
12 O 0.500 0.000 0.614
13 O 0.000 0.000 0.208
14 Mg 0.500 0.000 0.276

=====

Model R:
# Ba2SmMgCu3O7

A geometry-optimized Ba2SmMgCu3O7 structure (PBE, the Materials Project).

## Properties
total magnetization	0.00	μB/cell

Lattice parameters (Å, degrees): 4.002 3.755 14.586 90.00 90.00 90.00
Element x y z (fractional)
1 Ba 0.500 0.500 0.088
2 Cu 0.000 0.000 0.415
3 Mg 0.000 0.500 0.275
4 O 0.500 0.000 0.629
5 Cu 0.000 0.000 0.938
6 Cu 0.000 0.000 0.637
7 Sm 0.500 0.500 0.518
8 O 0.000 0.500 0.610
9 O 0.000 0.000 0.805
10 O 0.000 0.500 0.408
11 O 0.500 0.000 0.420
12 O 0.000 0.000 0.208
13 Ba 0.500 0.500 0.776
14 O 0.000 0.500 0.984

=====

Which structure is the most stable? The one labeled model R.

=====

Model P:
# SnP3O9

A geometry-optimized SnP3O9 structure (PBE, the Materials Project).

## Properties
total magnetization	3.79	μB/cell

Lattice parameters (Å, degrees): 8.849 8.949 9.099 90.00 90.00 90.00
Element x y z (fractional)
1 O 0.237 0.363 0.062
2 O 0.958 0.283 0.843
3 O 0.373 0.807 0.140
4 O 0.625 0.096 0.682
5 O 0.110 0.607 0.115
6 P 0.304 0.194 0.063
7 O 0.610 0.893 0.885
8 P 0.696 0.694 0.437
9 P 0.304 0.518 0.688
10 O 0.639 0.038 0.260
11 Sn 0.627 0.643 0.846
12 O 0.349 0.159 0.909
13 O 0.125 0.404 0.318
14 O 0.127 0.193 0.640
15 O 0.542 0.717 0.343
16 O 0.413 0.119 0.416
17 O 0.151 0.841 0.409
18 O 0.139 0.462 0.740
19 O 0.361 0.538 0.240
20 P 0.467 0.675 0.189
21 P 0.804 0.982 0.312
22 P 0.033 0.325 0.689
23 O 0.890 0.107 0.385
24 P 0.196 0.806 0.563
25 O 0.861 0.962 0.760
26 O 0.873 0.693 0.860
27 O 0.587 0.619 0.084
28 O 0.305 0.905 0.644
29 P 0.533 0.175 0.311
30 O 0.651 0.659 0.591
31 P 0.696 0.018 0.812
32 O 0.458 0.217 0.157
33 Sn 0.873 0.357 0.346
34 O 0.042 0.783 0.657
35 P 0.804 0.306 0.937
36 O 0.263 0.637 0.562
37 O 0.737 0.137 0.938
38 P 0.967 0.825 0.811
39 O 0.805 0.595 0.356
40 O 0.195 0.095 0.144
41 O 0.875 0.904 0.182
42 Sn 0.127 0.857 0.154
43 P 0.196 0.482 0.188
44 O 0.849 0.341 0.091
45 O 0.390 0.393 0.615
46 O 0.913 0.381 0.584
47 O 0.695 0.405 0.856
48 Sn 0.373 0.143 0.654
49 O 0.763 0.863 0.438
50 O 0.627 0.307 0.360
51 O 0.375 0.596 0.818
52 O 0.087 0.881 0.916

=====

Model Q:
# SnP3O9

A geometry-optimized SnP3O9 structure (PBE, the Materials Project).

## Properties
total magnetization	3.79	μB/cell

Lattice parameters (Å, degrees): 8.786 8.792 9.343 90.00 90.00 90.00
Element x y z (fractional)
1 O 0.199 0.901 0.164
2 P 0.806 0.694 0.927
3 O 0.140 0.620 0.317
4 O 0.640 0.880 0.683
5 O 0.627 0.689 0.367
6 O 0.466 0.772 0.155
7 P 0.194 0.194 0.573
8 O 0.341 0.868 0.927
9 P 0.305 0.474 0.693
10 O 0.642 0.957 0.261
11 O 0.741 0.865 0.942
12 O 0.403 0.600 0.636
13 P 0.306 0.806 0.073
14 O 0.358 0.457 0.239
15 O 0.259 0.365 0.558
16 O 0.841 0.632 0.073
17 O 0.858 0.043 0.761
18 O 0.908 0.622 0.595
19 P 0.694 0.306 0.427
20 O 0.142 0.543 0.739
21 P 0.195 0.526 0.193
22 O 0.597 0.100 0.864
23 Sn 0.154 0.871 0.393
24 O 0.966 0.728 0.845
25 O 0.241 0.635 0.058
26 O 0.301 0.099 0.664
27 P 0.033 0.681 0.690
28 O 0.034 0.228 0.655
29 O 0.097 0.400 0.136
30 Sn 0.346 0.129 0.893
31 O 0.159 0.132 0.427
32 P 0.967 0.181 0.810
33 O 0.699 0.599 0.836
34 O 0.092 0.122 0.905
35 Sn 0.654 0.629 0.607
36 P 0.695 0.974 0.807
37 Sn 0.846 0.371 0.107
38 P 0.805 0.026 0.307
39 O 0.534 0.272 0.345
40 O 0.373 0.189 0.133
41 O 0.759 0.135 0.442
42 O 0.408 0.878 0.405
43 O 0.127 0.811 0.633
44 O 0.592 0.378 0.095
45 O 0.659 0.368 0.573
46 O 0.873 0.311 0.867
47 O 0.903 0.900 0.364
48 O 0.801 0.401 0.336
49 O 0.860 0.120 0.183
50 P 0.533 0.819 0.310
51 O 0.360 0.380 0.817
52 P 0.467 0.319 0.190

=====

Which structure is the most stable? The one labeled model P.